Compound: CuH12C5S4N
Source: the Materials Project database
Functional: GGA-PBE
Structure: relaxed

Values from the calculation:
crystal system = tetragonal
energy above the lowest structure with this stoichiometry = 0 meV per atom
ΔH_f (0 K) = -454 kJ/mol of formula units
size of the total moment = 0.00 μB per atom
uncorrected energy = -5.138 eV/atom

Unit cell a=14.1683 b=14.1683 c=11.4902 alpha=90.00 beta=90.00 gamma=90.00
Last column: nearest neighbours and their distance in Å.
Space group P-42_1c (No. 114)
One atom of each set of equivalent atoms:
1 Cu 0.0601 0.0850 0.4166 (multiplicity 8)  3 S 2.23-2.28
2 H 0.0032 0.8205 0.9989 (multiplicity 8)  1 C 1.10
3 H 0.0210 0.3305 0.0888 (multiplicity 8)  1 C 1.10
4 H 0.0232 0.6190 0.9569 (multiplicity 8)  1 C 1.09
5 H 0.0388 0.7661 0.8638 (multiplicity 8)  1 C 1.10
6 H 0.0564 0.1494 0.8645 (multiplicity 8)  1 C 1.10
7 H 0.0658 0.3578 0.7771 (multiplicity 8)  1 C 1.09
8 H 0.0804 0.4105 0.5132 (multiplicity 8)  1 C 1.10
9 H 0.1267 0.3187 0.3402 (multiplicity 8)  1 C 1.09
10 H 0.1462 0.2252 0.0896 (multiplicity 8)  1 C 1.10
11 H 0.1518 0.2643 0.7693 (multiplicity 8)  1 C 1.10
12 H 0.1921 0.2783 0.5154 (multiplicity 8)  1 C 1.10
13 H 0.1919 0.7934 0.0435 (multiplicity 8)  1 C 1.10
14 C 0.0206 0.2053 0.9138 (multiplicity 8)  3 H 1.10
15 C 0.0407 0.3600 0.0037 (multiplicity 8)  3 H 1.09-1.10
16 C 0.0691 0.7493 0.3220 (multiplicity 8)  3 S 1.69-1.75
17 C 0.1245 0.3232 0.8215 (multiplicity 8)  3 H 1.09-1.10
18 C 0.1722 0.2490 0.0048 (multiplicity 8)  3 H 1.10
19 S 0.0089 0.8435 0.2659 (multiplicity 8)  1 C 1.71
20 S 0.0126 0.1825 0.5627 (multiplicity 8)  1 S 2.08, 2 Cu 2.23-2.28
21 S 0.0691 0.7214 0.4702 (multiplicity 8)  1 C 1.75
22 S 0.1364 0.6726 0.2455 (multiplicity 8)  1 C 1.69
23 N 0.0894 0.2841 0.9355 (multiplicity 8)  4 C 1.50-1.51

Compound: Cu2H10C6S3N4
Source: the Materials Project database
Functional: GGA-PBE
Structure: relaxed

Values from the calculation:
crystal system = monoclinic
energy above the lowest structure with this stoichiometry = 12 meV per atom
ΔH_f (0 K) = -336 kJ/mol of formula units
size of the total moment = 0.00 μB per atom
uncorrected energy = -5.751 eV/atom

Unit cell a=5.7985 b=30.6352 c=7.6374 alpha=90.00 beta=112.26 gamma=90.00
Last column: nearest neighbours and their distance in Å.
Space group P2_1 (No. 4)
One atom of each set of equivalent atoms:
1 Cu 0.0738 0.0000 0.1706 (multiplicity 2)  2 N 1.90-1.93
2 Cu 0.0751 0.5804 0.6667 (multiplicity 2)  2 N 1.90-1.92
3 Cu 0.3153 0.3263 0.7622 (multiplicity 2)  1 N 1.85
4 Cu 0.3203 0.2538 0.2638 (multiplicity 2)  1 N 1.91
5 H 0.0222 0.3685 0.0508 (multiplicity 2)  1 C 1.09
6 H 0.0336 0.2102 0.5499 (multiplicity 2)  1 C 1.11
7 H 0.0404 0.4881 0.2674 (multiplicity 2)  1 C 1.12
8 H 0.0491 0.0910 0.7720 (multiplicity 2)  1 C 1.09
9 H 0.0730 0.3546 0.2876 (multiplicity 2)  1 C 1.07
10 H 0.0755 0.2242 0.7906 (multiplicity 2)  1 C 1.09
11 H 0.0824 0.6771 0.0374 (multiplicity 2)  1 C 1.12
12 H 0.0816 0.9024 0.5369 (multiplicity 2)  1 C 1.09
13 H 0.1389 0.9313 0.9198 (multiplicity 2)  1 N 1.04
14 H 0.1411 0.6485 0.4234 (multiplicity 2)  1 N 1.04
15 H 0.2281 0.1267 0.9557 (multiplicity 2)  1 C 1.08
16 H 0.2294 0.4521 0.4551 (multiplicity 2)  1 C 1.05
17 H 0.2868 0.1202 0.7422 (multiplicity 2)  1 C 1.07
18 H 0.2910 0.4581 0.2447 (multiplicity 2)  1 C 1.09
19 H 0.2922 0.9433 0.6765 (multiplicity 2)  1 C 1.10
20 H 0.2961 0.3863 0.2408 (multiplicity 2)  1 C 1.09
21 H 0.2972 0.6367 0.1795 (multiplicity 2)  1 C 1.08
22 H 0.3019 0.1917 0.7448 (multiplicity 2)  1 C 1.09
23 H 0.3230 0.6935 0.2556 (multiplicity 2)  1 C 1.09
24 H 0.3248 0.8866 0.7537 (multiplicity 2)  1 C 1.07
25 C 0.0982 0.3793 0.1978 (multiplicity 2)  3 H 1.07-1.09
26 C 0.1043 0.1991 0.6991 (multiplicity 2)  3 H 1.09-1.11
27 C 0.1505 0.1219 0.8049 (multiplicity 2)  3 H 1.07-1.09
28 C 0.1509 0.4572 0.3079 (multiplicity 2)  3 H 1.05-1.12
29 C 0.1994 0.9123 0.6803 (multiplicity 2)  3 H 1.07-1.10
30 C 0.1997 0.6665 0.1845 (multiplicity 2)  3 H 1.08-1.12
31 C 0.2278 0.8032 0.3542 (multiplicity 2)  1 N 1.18
32 C 0.2299 0.7763 0.8549 (multiplicity 2)  1 N 1.16
33 C 0.2723 0.4270 0.8089 (multiplicity 2)  1 N 1.18
34 C 0.2742 0.1530 0.3134 (multiplicity 2)  1 N 1.18
35 C 0.4762 0.5504 0.5311 (multiplicity 2)  1 N 1.17
36 C 0.4822 0.0286 0.0276 (multiplicity 2)  1 N 1.21
37 S 0.2740 0.0269 0.4850 (multiplicity 2)  1 C 1.66
38 S 0.2741 0.5527 0.9895 (multiplicity 2)  1 C 1.64
39 S 0.4848 0.3953 0.7823 (multiplicity 2)  1 C 1.64
40 S 0.4900 0.1847 0.2877 (multiplicity 2)  1 C 1.65
41 S 0.4900 0.2963 0.0922 (multiplicity 2)  1 C 1.64
42 S 0.4906 0.2833 0.5926 (multiplicity 2)  1 C 1.64
43 N 0.0246 0.8176 0.3114 (multiplicity 2)  1 C 1.18
44 N 0.0285 0.9212 0.7839 (multiplicity 2)  1 H 1.04
45 N 0.0301 0.6579 0.2866 (multiplicity 2)  1 H 1.04
46 N 0.0326 0.7613 0.8184 (multiplicity 2)  1 C 1.16
47 N 0.1217 0.1292 0.3255 (multiplicity 2)  1 C 1.18
48 N 0.1249 0.4507 0.8302 (multiplicity 2)  1 C 1.18
49 N 0.3084 0.0120 0.0534 (multiplicity 2)  1 C 1.21
50 N 0.3127 0.5691 0.5525 (multiplicity 2)  1 C 1.17